Here is crystalline Na24Ca10Ta2Si9S9O72 at its relaxed geometry from the Materials Project. Energies are from PBE.

Lattice parameters (Å, degrees): 9.507 9.508 22.880 89.80 89.72 60.11
Space group P1 (No. 1)
Unique sites:
Na 0.000 0.000 0.000
Na 0.001 0.300 0.824
Na 0.003 0.932 0.318
Na 0.011 0.626 0.250
Na 0.308 0.315 0.319
Na 0.309 0.650 0.828
Na 0.325 0.955 0.906
Na 0.327 0.576 0.179
Na 0.341 0.954 0.395
Na 0.355 0.324 0.655
Na 0.370 0.259 0.007
Na 0.376 0.623 0.482
Na 0.626 0.004 0.483
Na 0.630 0.624 0.988
Na 0.648 0.294 0.581
Na 0.668 0.280 0.093
Na 0.676 0.644 0.320
Na 0.681 0.601 0.664
Na 0.698 0.919 0.817
Na 0.704 0.986 0.175
Na 0.947 0.955 0.669
Na 0.973 0.310 0.175
Na 0.984 0.655 0.742
Na 0.991 0.262 0.474
Ca 0.008 0.627 0.101
Ca 0.326 0.967 0.066
Ca 0.341 0.952 0.560
Ca 0.660 0.294 0.407
Ca 0.667 0.292 0.231
Ca 0.669 0.292 0.728
Ca 0.679 0.294 0.915
Ca 0.994 0.637 0.598
Ca 0.997 0.634 0.891
Ca 0.999 0.630 0.389
Ta 0.318 0.975 0.258
Ta 0.343 0.940 0.756
Si 0.033 0.962 0.155
Si 0.332 0.655 0.655
Si 0.334 0.258 0.155
Si 0.358 0.614 0.324
Si 0.627 0.965 0.656
Si 0.655 0.984 0.324
Si 0.664 0.606 0.823
Si 0.977 0.293 0.325
Si 0.986 0.986 0.823
S 0.045 0.250 0.660
S 0.301 0.327 0.495
S 0.309 0.621 0.990
S 0.361 0.282 0.825
S 0.626 0.666 0.156
S 0.693 0.931 0.990
S 0.699 0.621 0.494
S 0.993 0.938 0.494
S 0.999 0.327 0.990
O 0.008 0.839 0.442
O 0.009 0.407 0.935
O 0.024 0.796 0.165
O 0.026 0.433 0.330
O 0.030 0.796 0.828
O 0.037 0.411 0.661
O 0.108 0.967 0.091
O 0.119 0.161 0.606
O 0.138 0.961 0.494
O 0.147 0.160 0.990
O 0.148 0.156 0.712
O 0.159 0.121 0.312
O 0.159 0.426 0.163
O 0.163 0.652 0.666
O 0.163 0.959 0.207
O 0.165 0.984 0.812
O 0.171 0.652 0.329
O 0.195 0.424 0.831
O 0.207 0.417 0.443
O 0.218 0.634 0.936
O 0.219 0.416 0.550
O 0.219 0.614 0.041
O 0.315 0.163 0.494
O 0.329 0.783 0.713
O 0.333 0.766 0.991
O 0.334 0.131 0.208
O 0.345 0.133 0.818
O 0.346 0.741 0.597
O 0.347 0.793 0.309
O 0.354 0.167 0.094
O 0.437 0.308 0.772
O 0.443 0.492 0.270
O 0.462 0.257 0.877
O 0.466 0.550 0.384
O 0.467 0.309 0.494
O 0.472 0.469 0.989
O 0.487 0.289 0.162
O 0.489 0.969 0.310
O 0.493 0.478 0.662
O 0.495 0.797 0.813
O 0.501 0.967 0.712
O 0.530 0.772 0.207
O 0.530 0.942 0.991
O 0.530 0.988 0.596
O 0.534 0.770 0.493
O 0.543 0.736 0.100
O 0.605 0.094 0.384
O 0.615 0.544 0.883
O 0.647 0.502 0.162
O 0.656 0.119 0.663
O 0.670 0.099 0.988
O 0.682 0.473 0.493
O 0.688 0.495 0.767
O 0.696 0.069 0.271
O 0.776 0.841 0.936
O 0.787 0.657 0.158
O 0.788 0.614 0.549
O 0.789 0.628 0.443
O 0.790 0.847 0.042
O 0.794 0.790 0.665
O 0.804 0.798 0.330
O 0.816 0.639 0.828
O 0.842 0.100 0.492
O 0.849 0.311 0.989
O 0.858 0.126 0.161
O 0.861 0.329 0.269
O 0.866 0.064 0.768
O 0.881 0.272 0.665
O 0.911 0.246 0.383
O 0.917 0.097 0.882
O 0.986 0.854 0.548
O 0.990 0.424 0.041

Here is crystalline Na30Ca8Ta16Si27S9O144 at its relaxed geometry from the Materials Project. Energies are from PBE.

Lattice parameters (Å, degrees): 9.136 15.856 22.871 89.81 89.91 90.00
Space group P1 (No. 1)
Unique sites:
Na 0.000 0.000 0.000
Na 0.004 0.303 0.671
Na 0.021 0.649 0.001
Na 0.054 0.000 0.675
Na 0.171 0.819 0.767
Na 0.174 0.164 0.096
Na 0.181 0.828 0.264
Na 0.183 0.493 0.430
Na 0.189 0.166 0.597
Na 0.204 0.488 0.925
Na 0.310 0.001 0.175
Na 0.361 0.301 0.174
Na 0.363 0.000 0.502
Na 0.379 0.676 0.173
Na 0.481 0.178 0.681
Na 0.503 0.803 0.674
Na 0.522 0.151 0.001
Na 0.552 0.500 0.672
Na 0.661 0.311 0.763
Na 0.670 0.660 0.094
Na 0.671 0.986 0.920
Na 0.683 0.659 0.597
Na 0.692 0.987 0.422
Na 0.693 0.317 0.268
Na 0.807 0.500 0.173
Na 0.840 0.153 0.502
Na 0.857 0.803 0.174
Na 0.858 0.479 0.852
Na 0.880 0.177 0.183
Na 0.981 0.676 0.681
Ca 0.180 0.159 0.240
Ca 0.181 0.824 0.907
Ca 0.181 0.826 0.409
Ca 0.184 0.160 0.739
Ca 0.677 0.321 0.909
Ca 0.681 0.660 0.239
Ca 0.683 0.324 0.408
Ca 0.684 0.661 0.738
Ta 0.167 0.163 0.447
Ta 0.177 0.498 0.774
Ta 0.179 0.825 0.608
Ta 0.181 0.492 0.275
Ta 0.182 0.492 0.069
Ta 0.184 0.494 0.569
Ta 0.185 0.826 0.109
Ta 0.195 0.161 0.946
Ta 0.675 0.997 0.776
Ta 0.677 0.327 0.608
Ta 0.680 0.991 0.071
Ta 0.682 0.991 0.570
Ta 0.685 0.325 0.107
Ta 0.685 0.659 0.451
Ta 0.688 0.997 0.277
Ta 0.690 0.660 0.946
Si 0.029 0.352 0.173
Si 0.029 0.973 0.506
Si 0.039 0.678 0.506
Si 0.046 0.640 0.172
Si 0.317 0.641 0.671
Si 0.332 0.354 0.674
Si 0.333 0.678 0.007
Si 0.334 0.973 0.006
Si 0.386 0.329 0.007
Si 0.390 0.986 0.672
Si 0.469 0.487 0.173
Si 0.476 0.827 0.507
Si 0.485 0.157 0.836
Si 0.528 0.853 0.176
Si 0.530 0.178 0.507
Si 0.531 0.472 0.505
Si 0.548 0.141 0.172
Si 0.815 0.141 0.671
Si 0.831 0.474 0.004
Si 0.834 0.853 0.675
Si 0.835 0.177 0.008
Si 0.879 0.158 0.336
Si 0.887 0.828 0.008
Si 0.891 0.487 0.672
Si 0.972 0.987 0.172
Si 0.976 0.331 0.507
Si 0.985 0.657 0.837
S 0.024 0.015 0.841
S 0.044 0.310 0.840
S 0.319 0.312 0.340
S 0.340 0.012 0.340
S 0.384 0.653 0.339
S 0.526 0.516 0.840
S 0.545 0.810 0.840
S 0.821 0.809 0.339
S 0.840 0.516 0.340
O 0.003 0.151 0.394
O 0.003 0.499 0.019
O 0.008 0.513 0.339
O 0.009 0.496 0.620
O 0.012 0.169 0.996
O 0.014 0.847 0.667
O 0.041 0.921 0.448
O 0.064 0.069 0.893
O 0.066 0.743 0.564
O 0.066 0.898 0.168
O 0.068 0.412 0.233
O 0.069 0.266 0.785
O 0.071 0.055 0.786
O 0.073 0.238 0.500
O 0.076 0.561 0.838
O 0.079 0.067 0.171
O 0.086 0.583 0.116
O 0.089 0.581 0.521
O 0.089 0.931 0.844
O 0.092 0.408 0.119
O 0.092 0.735 0.841
O 0.096 0.403 0.522
O 0.101 0.259 0.891
O 0.104 0.261 0.172
O 0.111 0.708 0.448
O 0.115 0.928 0.564
O 0.116 0.068 0.498
O 0.118 0.588 0.231
O 0.126 0.393 0.840
O 0.131 0.732 0.169
O 0.228 0.707 0.956
O 0.231 0.733 0.668
O 0.237 0.397 0.339
O 0.245 0.592 0.732
O 0.247 0.067 0.998
O 0.248 0.927 0.064
O 0.257 0.262 0.390
O 0.258 0.262 0.673
O 0.266 0.402 0.022
O 0.269 0.407 0.619
O 0.274 0.580 0.618
O 0.275 0.582 0.023
O 0.277 0.927 0.342
O 0.285 0.067 0.671
O 0.287 0.726 0.343
O 0.290 0.238 0.999
O 0.291 0.269 0.284
O 0.292 0.052 0.285
O 0.294 0.413 0.733
O 0.294 0.571 0.338
O 0.296 0.898 0.667
O 0.299 0.065 0.392
O 0.302 0.742 0.067
O 0.323 0.920 0.949
O 0.347 0.848 0.169
O 0.351 0.170 0.494
O 0.354 0.497 0.120
O 0.359 0.475 0.233
O 0.360 0.150 0.895
O 0.361 0.496 0.521
O 0.362 0.508 0.840
O 0.367 0.809 0.565
O 0.373 0.151 0.173
O 0.387 0.862 0.453
O 0.389 0.825 0.846
O 0.397 0.160 0.776
O 0.463 0.658 0.283
O 0.469 0.352 0.949
O 0.475 0.327 0.345
O 0.489 0.646 0.389
O 0.491 0.652 0.674
O 0.499 0.307 0.065
O 0.502 0.994 0.617
O 0.503 0.975 0.730
O 0.504 0.000 0.020
O 0.506 0.008 0.339
O 0.512 0.674 0.995
O 0.514 0.348 0.669
O 0.540 0.420 0.447
O 0.561 0.241 0.566
O 0.565 0.912 0.234
O 0.566 0.400 0.166
O 0.566 0.572 0.891
O 0.570 0.767 0.784
O 0.573 0.554 0.785
O 0.573 0.569 0.174
O 0.576 0.739 0.494
O 0.578 0.063 0.836
O 0.582 0.079 0.521
O 0.592 0.083 0.116
O 0.593 0.906 0.120
O 0.594 0.234 0.841
O 0.595 0.902 0.522
O 0.599 0.434 0.845
O 0.599 0.760 0.174
O 0.607 0.759 0.890
O 0.613 0.426 0.564
O 0.616 0.568 0.496
O 0.619 0.090 0.231
O 0.628 0.893 0.839
O 0.631 0.233 0.168
O 0.634 0.206 0.456
O 0.731 0.206 0.957
O 0.731 0.232 0.669
O 0.741 0.893 0.339
O 0.745 0.089 0.730
O 0.749 0.570 0.999
O 0.753 0.422 0.061
O 0.759 0.762 0.672
O 0.760 0.759 0.390
O 0.767 0.902 0.023
O 0.768 0.235 0.341
O 0.771 0.084 0.615
O 0.772 0.908 0.620
O 0.780 0.079 0.022
O 0.780 0.432 0.345
O 0.783 0.566 0.672
O 0.786 0.064 0.336
O 0.792 0.766 0.283
O 0.793 0.554 0.283
O 0.794 0.738 0.997
O 0.797 0.398 0.667
O 0.797 0.912 0.733
O 0.798 0.573 0.390
O 0.802 0.240 0.067
O 0.823 0.427 0.943
O 0.848 0.349 0.168
O 0.852 0.672 0.497
O 0.858 0.001 0.519
O 0.859 0.010 0.841
O 0.859 0.646 0.894
O 0.860 0.975 0.230
O 0.861 0.993 0.117
O 0.864 0.308 0.565
O 0.871 0.652 0.174
O 0.887 0.328 0.846
O 0.894 0.349 0.449
O 0.896 0.654 0.777
O 0.967 0.160 0.276
O 0.979 0.822 0.343
O 0.979 0.863 0.955
O 0.990 0.151 0.673
O 0.998 0.476 0.733
O 0.998 0.807 0.066

no.,formation energy from the elements (eV/atom)
1,-2.645
2,-2.863